Record 1
A relaxed CaVFeP4O14 crystal. Source: the Materials Project, functional GGA+U.

Unit cell a=4.917 b=8.114 c=7.193 alpha=89.29 beta=106.50 gamma=91.08
Fractional positions:
O (0.847, 0.169, 0.066)
O (0.564, 0.156, 0.711)
O (0.171, 0.063, 0.430)
O (0.433, 0.694, 0.642)
O (0.607, 0.420, 0.910)
O (0.969, 0.796, 0.178)
O (0.601, 0.209, 0.365)
O (0.256, 0.370, 0.490)
O (0.855, 0.577, 0.546)
O (0.441, 0.649, 0.290)
O (0.732, 0.882, 0.494)
O (0.171, 0.648, 0.947)
O (0.413, 0.920, 0.101)
O (0.033, 0.312, 0.813)
P (0.623, 0.709, 0.510)
P (0.237, 0.766, 0.115)
P (0.390, 0.199, 0.488)
P (0.772, 0.266, 0.875)
Ca (0.803, 0.440, 0.256)
V (0.233, 0.508, 0.734)
Fe (0.793, 0.997, 0.263)

As for the offset from the most stable computed form: 0.001 eV/atom. As for the space group: No. 1.

Record 2
A relaxed CaVFeP4O14 crystal. Source: the Materials Project, functional GGA+U.

Unit cell a=4.995 b=8.353 c=7.094 alpha=89.99 beta=106.43 gamma=90.23
Fractional positions:
O (0.001, 0.339, 0.839)
O (0.852, 0.180, 0.085)
O (0.275, 0.358, 0.496)
O (0.548, 0.175, 0.356)
O (0.160, 0.650, 0.942)
O (0.718, 0.867, 0.491)
O (0.540, 0.402, 0.911)
O (0.445, 0.677, 0.646)
O (0.984, 0.833, 0.162)
O (0.583, 0.148, 0.724)
O (0.144, 0.060, 0.475)
O (0.435, 0.910, 0.085)
O (0.847, 0.570, 0.522)
O (0.412, 0.654, 0.284)
Ca (0.318, 0.391, 0.162)
P (0.237, 0.777, 0.104)
P (0.376, 0.182, 0.507)
P (0.620, 0.697, 0.501)
P (0.748, 0.270, 0.891)
V (0.206, 0.513, 0.711)
Fe (0.789, 0.997, 0.273)

As for the offset from the most stable computed form: 0.011 eV/atom. As for the space group: No. 1.

Record 3
A relaxed SrCaPrFeO6 crystal. Source: the Materials Project, functional GGA+U.

Unit cell a=5.700 b=5.700 c=5.700 alpha=60.00 beta=60.00 gamma=60.00
Fractional positions:
O (0.730, 0.730, 0.270)
O (0.730, 0.270, 0.270)
O (0.270, 0.730, 0.730)
O (0.270, 0.730, 0.270)
O (0.270, 0.270, 0.730)
O (0.730, 0.270, 0.730)
Pr (0.750, 0.750, 0.750)
Fe (0.500, 0.500, 0.500)
Ca (0.000, 0.000, 0.000)
Sr (0.250, 0.250, 0.250)

As for the space group: No. 216.

Record 4
A relaxed CaPrZrFeO6 crystal. Source: the Materials Project, functional GGA+U.

Unit cell a=5.716 b=5.716 c=5.716 alpha=60.00 beta=60.00 gamma=60.00
Fractional positions:
O (0.755, 0.755, 0.245)
O (0.245, 0.755, 0.755)
O (0.755, 0.245, 0.755)
O (0.245, 0.755, 0.245)
O (0.245, 0.245, 0.755)
O (0.755, 0.245, 0.245)
Ca (0.250, 0.250, 0.250)
Pr (0.750, 0.750, 0.750)
Zr (0.500, 0.500, 0.500)
Fe (0.000, 0.000, 0.000)

As for the space group: No. 216.

Record 5
A relaxed CaFeSO crystal. Source: the Materials Project, functional GGA+U.

Unit cell a=3.768 b=3.768 c=11.565 alpha=90.00 beta=90.00 gamma=120.00
Fractional positions:
S (0.333, 0.667, 0.474)
S (0.667, 0.333, 0.974)
O (0.000, 0.000, 0.225)
O (0.000, 0.000, 0.725)
Fe (0.000, 0.000, 0.558)
Fe (0.000, 0.000, 0.058)
Ca (0.667, 0.333, 0.292)
Ca (0.333, 0.667, 0.792)

As for the space group: No. 186.

Record 6
A relaxed Sr4CaFe2S2O6 crystal. Source: the Materials Project, functional GGA+U.

Unit cell a=3.975 b=3.975 c=16.779 alpha=90.00 beta=90.00 gamma=90.00
Fractional positions:
O (0.500, 0.000, 0.935)
O (0.000, 0.000, 0.800)
O (0.000, 0.000, 0.200)
O (0.500, 0.500, 0.800)
O (0.500, 0.500, 0.200)
O (0.000, 0.500, 0.065)
Sr (0.000, 0.500, 0.703)
Sr (0.000, 0.500, 0.917)
Sr (0.500, 0.000, 0.297)
Sr (0.500, 0.000, 0.083)
S (0.000, 0.500, 0.389)
S (0.500, 0.000, 0.611)
Fe (0.000, 0.500, 0.180)
Fe (0.500, 0.000, 0.820)
Ca (0.500, 0.500, 0.500)

As for the space group: No. 115.

Record 7
A relaxed Ca2FeSbO6 crystal. Source: the Materials Project, functional GGA+U.

Unit cell a=7.832 b=7.856 c=7.856 alpha=88.59 beta=89.88 gamma=90.12
Fractional positions:
O (0.951, 0.203, 0.004)
O (0.452, 0.796, 0.001)
O (0.248, 0.781, 0.689)
O (0.248, 0.281, 0.189)
O (0.952, 0.499, 0.204)
O (0.752, 0.719, 0.811)
O (0.548, 0.704, 0.499)
O (0.549, 0.004, 0.703)
O (0.548, 0.204, 0.999)
O (0.049, 0.797, 0.996)
O (0.049, 0.297, 0.496)
O (0.752, 0.219, 0.311)
O (0.452, 0.296, 0.501)
O (0.252, 0.189, 0.781)
O (0.451, 0.996, 0.297)
O (0.951, 0.703, 0.504)
O (0.048, 0.001, 0.296)
O (0.748, 0.811, 0.219)
O (0.048, 0.501, 0.796)
O (0.252, 0.689, 0.281)
O (0.952, 0.999, 0.704)
O (0.451, 0.496, 0.797)
O (0.549, 0.504, 0.203)
O (0.748, 0.311, 0.719)
Ca (0.749, 0.981, 0.969)
Ca (0.251, 0.519, 0.531)
Ca (0.249, 0.031, 0.519)
Ca (0.749, 0.481, 0.469)
Ca (0.751, 0.469, 0.981)
Ca (0.249, 0.531, 0.019)
Ca (0.751, 0.969, 0.481)
Ca (0.251, 0.019, 0.031)
Fe (0.000, 0.250, 0.750)
Fe (0.500, 0.250, 0.250)
Fe (0.000, 0.750, 0.250)
Fe (0.500, 0.750, 0.750)
Sb (0.500, 0.250, 0.750)
Sb (0.500, 0.750, 0.250)
Sb (0.000, 0.250, 0.250)
Sb (0.000, 0.750, 0.750)

Record 8
A relaxed Ca3Fe2Sb2O12 crystal. Source: the Materials Project, functional GGA+U.

Unit cell a=5.497 b=5.593 c=7.749 alpha=89.70 beta=89.78 gamma=90.93
Fractional positions:
Ca (0.485, 0.447, 0.750)
Ca (0.987, 0.057, 0.250)
Ca (0.506, 0.541, 0.250)
O (0.905, 0.526, 0.748)
O (0.222, 0.214, 0.539)
O (0.784, 0.786, 0.439)
O (0.312, 0.689, 0.534)
O (0.708, 0.295, 0.044)
O (0.574, 0.025, 0.752)
O (0.310, 0.693, 0.966)
O (0.083, 0.472, 0.247)
O (0.789, 0.787, 0.062)
O (0.213, 0.231, 0.967)
O (0.708, 0.287, 0.453)
O (0.407, 0.981, 0.252)
Fe (0.995, 0.517, 0.506)
Fe (0.505, 0.995, 0.996)
Sb (0.503, 0.991, 0.503)
Sb (0.992, 0.517, 0.993)

As for the space group: No. 1.

Record 9
A relaxed Ca2FeSbO6 crystal. Source: the Materials Project, functional GGA+U.

Unit cell a=7.806 b=5.503 c=5.651 alpha=89.82 beta=90.00 gamma=90.00
Fractional positions:
O (0.549, 0.293, 0.303)
O (0.550, 0.193, 0.791)
O (0.750, 0.896, 0.465)
O (0.750, 0.582, 0.971)
O (0.951, 0.293, 0.303)
O (0.049, 0.707, 0.697)
O (0.450, 0.807, 0.209)
O (0.050, 0.807, 0.209)
O (0.250, 0.418, 0.029)
O (0.451, 0.707, 0.697)
O (0.950, 0.193, 0.791)
O (0.250, 0.104, 0.535)
Sb (0.000, 0.000, 0.500)
Sb (0.500, 0.000, 0.500)
Ca (0.250, 0.519, 0.435)
Ca (0.750, 0.999, 0.041)
Ca (0.250, 0.001, 0.959)
Ca (0.750, 0.481, 0.565)
Fe (0.500, 0.500, 0.000)
Fe (0.000, 0.500, 0.000)

As for the space group: No. 11.

Record 10
A relaxed Ca2YFe4SbO12 crystal. Source: the Materials Project, functional GGA+U.

Unit cell a=10.974 b=10.983 c=10.989 alpha=109.49 beta=109.36 gamma=109.38
Fractional positions:
Fe (0.749, 0.626, 0.370)
Fe (0.376, 0.127, 0.751)
Fe (0.123, 0.370, 0.245)
Fe (0.127, 0.746, 0.371)
Fe (0.877, 0.630, 0.755)
Fe (0.500, 0.500, 0.000)
Fe (0.000, 0.500, 0.000)
Fe (0.000, 0.000, 0.000)
Fe (0.249, 0.874, 0.129)
Fe (0.624, 0.873, 0.249)
Fe (0.374, 0.251, 0.124)
Fe (0.626, 0.749, 0.876)
Fe (0.873, 0.254, 0.629)
Fe (0.500, 0.000, 0.500)
Fe (0.751, 0.126, 0.871)
Fe (0.251, 0.374, 0.630)
Ca (0.876, 0.121, 0.242)
Ca (0.381, 0.760, 0.626)
Ca (0.750, 0.378, 0.120)
Ca (0.250, 0.121, 0.369)
Ca (0.124, 0.879, 0.758)
Ca (0.750, 0.879, 0.631)
Ca (0.250, 0.622, 0.880)
Ca (0.619, 0.240, 0.374)
Sb (0.500, 0.500, 0.500)
Sb (0.000, 0.500, 0.500)
Sb (0.500, 0.000, 0.000)
Sb (0.000, 0.000, 0.500)
O (0.975, 0.602, 0.176)
O (0.118, 0.698, 0.522)
O (0.478, 0.801, 0.882)
O (0.206, 0.676, 0.085)
O (0.706, 0.586, 0.177)
O (0.801, 0.479, 0.383)
O (0.578, 0.874, 0.399)
O (0.404, 0.024, 0.322)
O (0.794, 0.324, 0.915)
O (0.873, 0.580, 0.903)
O (0.322, 0.791, 0.413)
O (0.325, 0.523, 0.399)
O (0.826, 0.918, 0.300)
O (0.675, 0.477, 0.601)
O (0.302, 0.882, 0.979)
O (0.924, 0.100, 0.622)
O (0.522, 0.199, 0.118)
O (0.178, 0.102, 0.974)
O (0.903, 0.825, 0.522)
O (0.596, 0.976, 0.678)
O (0.199, 0.521, 0.617)
O (0.082, 0.177, 0.202)
O (0.422, 0.303, 0.326)
O (0.578, 0.697, 0.674)
O (0.294, 0.414, 0.823)
O (0.380, 0.977, 0.801)
O (0.474, 0.676, 0.100)
O (0.023, 0.617, 0.699)
O (0.910, 0.090, 0.881)
O (0.918, 0.823, 0.798)
O (0.407, 0.383, 0.584)
O (0.127, 0.420, 0.097)
O (0.977, 0.383, 0.301)
O (0.678, 0.209, 0.587)
O (0.025, 0.398, 0.824)
O (0.422, 0.126, 0.601)
O (0.620, 0.023, 0.199)
O (0.822, 0.898, 0.026)
O (0.698, 0.118, 0.021)
O (0.526, 0.324, 0.900)
O (0.076, 0.900, 0.378)
O (0.882, 0.302, 0.478)
O (0.097, 0.175, 0.478)
O (0.174, 0.082, 0.700)
O (0.593, 0.617, 0.416)
O (0.090, 0.910, 0.119)
O (0.626, 0.596, 0.919)
O (0.374, 0.404, 0.081)
Y (0.124, 0.255, 0.884)
Y (0.370, 0.632, 0.245)
Y (0.630, 0.368, 0.755)
Y (0.876, 0.745, 0.116)

As for the space group: No. 2.

Record 11
A relaxed Ca3Fe2Se6O18 crystal. Source: the Materials Project, functional GGA+U.

Unit cell a=14.184 b=14.184 c=14.184 alpha=35.49 beta=35.49 gamma=35.49
Fractional positions:
O (0.094, 0.821, 0.178)
O (0.501, 0.185, 0.156)
O (0.941, 0.336, 0.049)
O (0.178, 0.094, 0.821)
O (0.685, 0.001, 0.656)
O (0.678, 0.321, 0.594)
O (0.322, 0.679, 0.406)
O (0.179, 0.822, 0.906)
O (0.059, 0.664, 0.951)
O (0.594, 0.678, 0.321)
O (0.156, 0.501, 0.185)
O (0.844, 0.499, 0.815)
O (0.559, 0.451, 0.164)
O (0.344, 0.315, 0.999)
O (0.664, 0.951, 0.059)
O (0.315, 0.999, 0.344)
O (0.656, 0.685, 0.001)
O (0.336, 0.049, 0.941)
O (0.836, 0.441, 0.549)
O (0.001, 0.656, 0.685)
O (0.451, 0.164, 0.559)
O (0.499, 0.815, 0.844)
O (0.049, 0.941, 0.336)
O (0.164, 0.559, 0.451)
O (0.549, 0.836, 0.441)
O (0.821, 0.178, 0.094)
O (0.815, 0.844, 0.499)
O (0.441, 0.549, 0.836)
O (0.951, 0.059, 0.664)
O (0.185, 0.156, 0.501)
O (0.822, 0.906, 0.179)
O (0.406, 0.322, 0.679)
O (0.999, 0.344, 0.315)
O (0.679, 0.406, 0.322)
O (0.321, 0.594, 0.678)
O (0.906, 0.179, 0.822)
Ca (0.341, 0.750, 0.159)
Ca (0.250, 0.841, 0.659)
Ca (0.659, 0.250, 0.841)
Ca (0.841, 0.659, 0.250)
Ca (0.159, 0.341, 0.750)
Ca (0.750, 0.159, 0.341)
Se (0.186, 0.494, 0.911)
Se (0.006, 0.314, 0.589)
Se (0.589, 0.006, 0.314)
Se (0.411, 0.994, 0.686)
Se (0.994, 0.686, 0.411)
Se (0.814, 0.506, 0.089)
Se (0.686, 0.411, 0.994)
Se (0.911, 0.186, 0.494)
Se (0.314, 0.589, 0.006)
Se (0.494, 0.911, 0.186)
Se (0.089, 0.814, 0.506)
Se (0.506, 0.089, 0.814)
Fe (0.000, 0.000, 0.000)
Fe (0.750, 0.750, 0.750)
Fe (0.250, 0.250, 0.250)
Fe (0.500, 0.500, 0.500)

As for the space group: No. 167.

Ordered E_tot results: -153.77, -153.56, -65.96, -77.41, -23.85, -86.63, -65.38, -119.52, -65.11, -138.52, -171.07; unit eV per formula unit.
Ordered calculated formation energy results: -2.708, -2.698, -2.570, -3.030, -1.935, -2.174, -2.546, -2.194, -2.519, -2.396, -1.895; unit eV per atom.
Ordered calculated density results: 3.0, 2.9, 5.3, 5.3, 3.4, 4.1, 4.9, 4.7, 4.8, 4.6, 3.8; unit g cm⁻³.